VASP calculation (PBE) on an optimized crystal structure of KPH5C2SN3O4.

Unit cell a=6.210 b=6.925 c=10.813 alpha=88.11 beta=103.39 gamma=101.55
Sites, in units of the cell vectors:
H1 0.597 0.078 0.098
H2 0.547 0.906 0.385
H3 0.637 0.799 0.508
H4 0.505 0.577 0.315
H5 0.075 0.368 0.977
H6 0.363 0.201 0.492
H7 0.495 0.423 0.685
H8 0.453 0.094 0.615
H9 0.403 0.922 0.902
H10 0.925 0.632 0.023
O1 0.179 0.632 0.143
O2 0.268 0.121 0.921
O3 0.593 0.893 0.663
O4 0.625 0.795 0.416
O5 0.821 0.368 0.857
O6 0.407 0.107 0.337
O7 0.375 0.205 0.584
O8 0.732 0.879 0.079
K1 0.014 0.819 0.317
K2 0.986 0.181 0.683
C1 0.666 0.785 0.976
C2 0.281 0.493 0.146
C3 0.719 0.507 0.854
C4 0.334 0.215 0.024
N1 0.453 0.466 0.245
N2 0.222 0.360 0.045
N3 0.778 0.640 0.955
N4 0.547 0.534 0.755
N5 0.513 0.187 0.116
N6 0.487 0.813 0.884
P1 0.440 0.744 0.728
P2 0.560 0.256 0.272
S1 0.883 0.312 0.351
S2 0.117 0.688 0.649

Results
Total moment   0.00 μB per cell
Space-group type   P-1 (2)
Energy relative to the elements   -18.43 eV/f.u.
VASP energy   -0.229 hartree per atom
Total energy after the MP2020 corrections   -6.4303 eV per atom